No. 1
Below is a relaxed structure of K4CaUSi4O14, with properties calculated at the r2SCAN level.

The formation energy is -2.96 eV/atom. The value obtained for the calculated total energy is -12.54 eV per atom.

The space group is P-4n2 (No. 118) and the conventional cell measures 9.391, 9.391 and 8.346 Å, with angles of 90.00, 90.00 and 90.00 degrees. The distinct sites, in fractional coordinates, are K at (0.156, 0.344, 0.250), K at (0.210, 0.290, 0.750), Ca at (0.000, 0.000, 0.000), U at (0.000, 0.000, 0.500), Si at (0.117, 0.619, 0.553), O at (0.000, 0.000, 0.277), O at (0.000, 0.500, 0.008), O at (0.051, 0.771, 0.494), O at (0.088, 0.769, 0.019) and O at (0.115, 0.615, 0.750).

---

No. 2
Below is a relaxed structure of Li2Mg, with properties calculated at the r2SCAN level.

The formation energy is -0.02 eV/atom. The value obtained for the calculated total energy is -3.01 eV per atom.

The space group is Cmcm (No. 63) and the conventional cell measures 9.202, 5.259 and 5.071 Å, with angles of 90.00, 90.00 and 90.00 degrees. The distinct sites, in fractional coordinates, are Li at (0.162, 0.172, 0.250) and Mg at (0.000, 0.329, 0.750).

---

Among the records above, which one has the lowest calculated total energy?
K4CaUSi4O14

---

calculated total energy of number 2 (Li2Mg)?
-3.01 eV per atom

---

Which value of calculated total energy does entry 1 give?
-12.54 eV per atom